Entry 1:
Compound: Mo12PO40
Source: Materials Project
Functional: GGA+U
Structure: optimized geometry

Unit cell a=23.9463 b=23.9463 c=23.9463 alpha=90.00 beta=90.00 gamma=90.00
Last column: nearest neighbours and their distance in Å.
Space group Fd-3m (No. 227, origin choice 2)
Inequivalent atoms, fractional coordinates:
Mo 0.0177 0.0177 0.1211  1 O 1.70
P 0.1250 0.1250 0.1250  4 O 1.54
O 0.0016 0.3257 0.4243  2 Mo 1.94
O 0.0168 0.3123 0.3123  2 Mo 1.95
O 0.0318 0.0318 0.8667  1 Mo 1.70
O 0.0878 0.0878 0.0878  1 P 1.54

Results
energy: -0.25423 hartree per atom
calculated formation energy: -99.08 eV per formula unit
M_tot: 24.04 μB per cell



Entry 2:
Compound: Dy2MnCoO6
Source: Materials Project
Functional: GGA+U
Structure: optimized geometry

Unit cell a=4.2857 b=5.6550 c=10.1962 alpha=90.00 beta=109.32 gamma=90.00
Last column: nearest neighbours and their distance in Å.
Space group P2_1/c (No. 14)
Inequivalent atoms, fractional coordinates:
Dy 0.1881 0.0900 0.2418  7 O 2.23-2.48
Mn 0.0000 0.0000 0.5000  6 O 1.95-2.16
Co 0.5000 0.0000 0.0000  4 O 1.82-1.90
O 0.1344 0.1796 0.9162  1 Co 1.82
O 0.2633 0.7217 0.9210  1 Co 1.90, 1 Mn 2.02
O 0.2832 0.0225 0.6940  1 Mn 1.95

Results
energy: -0.27324 hartree per atom
calculated formation energy: -26.61 eV per formula unit
ΔE to the lowest computed polymorph: 0 meV per atom
M_tot: 12.00 μB per cell



Entry 3:
Compound: K8MgMn4O16
Source: Materials Project
Functional: GGA+U
Structure: optimized geometry

Unit cell a=5.8607 b=8.1146 c=10.9938 alpha=88.24 beta=87.48 gamma=88.87
Last column: nearest neighbours and their distance in Å.
Space group P1 (No. 1)
Inequivalent atoms, fractional coordinates:
K 0.0000 0.0000 0.0000  4 O 2.73-2.86
K 0.0076 0.2435 0.6640  6 O 2.60-2.75
K 0.0151 0.7423 0.6450  6 O 2.76-3.05
K 0.0348 0.4426 0.2944  6 O 2.80-3.06
K 0.4861 0.0477 0.5028  6 O 2.78-3.09
K 0.4976 0.7940 0.2367  6 O 2.70-2.93
K 0.5108 0.4511 0.7634  5 O 2.66-2.88
K 0.5214 0.2556 0.1145  6 O 2.76-2.98
Mg 0.5888 0.7060 0.9624  4 O 1.95-2.01
Mn 0.0646 0.5047 0.9778  4 O 1.69-1.77
Mn 0.4913 0.9768 0.8285  4 O 1.68-1.79
Mn 0.5405 0.5105 0.4654  4 O 1.66-1.67
Mn 0.9994 0.9849 0.3393  4 O 1.65-1.68
O 0.0002 0.3266 0.0542  1 Mn 1.69
O 0.0356 0.4908 0.8254  1 Mn 1.70
O 0.0372 0.7863 0.3138  1 Mn 1.65
O 0.2258 0.0907 0.2872  1 Mn 1.67
O 0.2306 0.9964 0.7704  1 Mn 1.68
O 0.3540 0.5444 0.0037  1 Mn 1.77, 1 Mg 1.95
O 0.3645 0.3765 0.5369  1 Mn 1.67
O 0.4524 0.7034 0.4866  1 Mn 1.66
O 0.4765 0.9385 0.9894  1 Mn 1.79
O 0.5502 0.4758 0.3164  1 Mn 1.67
O 0.6185 0.7867 0.7895  1 Mn 1.76
O 0.6560 0.1410 0.7951  1 Mn 1.68
O 0.7691 0.0531 0.2682  1 Mn 1.67
O 0.7964 0.4835 0.5240  1 Mn 1.67
O 0.8832 0.6614 0.0348  1 Mn 1.75, 1 Mg 1.95
O 0.9636 0.0120 0.4894  1 Mn 1.68

Results
energy: -0.20417 hartree per atom
calculated formation energy: -52.48 eV per formula unit
ΔE to the lowest computed polymorph: 0 meV per atom
M_tot: 6.00 μB per cell



Entry 4:
Compound: CoP3H16N4O11
Source: Materials Project
Functional: GGA+U
Structure: optimized geometry

Unit cell a=7.9123 b=10.4625 c=8.1454 alpha=90.00 beta=100.47 gamma=90.00
Last column: nearest neighbours and their distance in Å.
Space group P2_1 (No. 4)
Inequivalent atoms, fractional coordinates:
Co 0.1414 0.0000 0.2231  4 N 1.95-1.97, 2 O 1.96-1.97
P 0.0455 0.9488 0.8330  4 O 1.49-1.62
P 0.2685 0.1676 0.9488  4 O 1.49-1.65
P 0.2930 0.5120 0.3634  4 O 1.51-1.64
H 0.0606 0.8665 0.4607  1 N 1.04
H 0.0645 0.3329 0.7251  1 N 1.04
H 0.0863 0.0927 0.4958  1 N 1.03
H 0.0987 0.6388 0.9083  1 N 1.02
H 0.1300 0.7724 0.3261  1 N 1.02
H 0.1332 0.6020 0.7189  1 N 1.03
H 0.1794 0.4954 0.8729  1 N 1.03
H 0.2122 0.1872 0.4075  1 N 1.03
H 0.2942 0.0625 0.5181  1 N 1.03
H 0.3466 0.6926 0.5896  1 O 1.00
H 0.3783 0.8481 0.1891  1 N 1.02
H 0.3802 0.7789 0.7521  1 O 0.97
H 0.4275 0.3241 0.3899  1 O 1.04
H 0.4423 0.9140 0.3729  1 N 1.03
H 0.4487 0.9952 0.1998  1 N 1.03
H 0.4878 0.0811 0.8497  1 O 1.04
N 0.0597 0.8536 0.3345  3 H 1.02-1.04
N 0.0952 0.5663 0.8236  3 H 1.02-1.03
N 0.1888 0.0936 0.4344  3 H 1.03
N 0.3771 0.9316 0.2543  3 H 1.02-1.03
O 0.0810 0.8604 0.6998  1 P 1.49
O 0.1003 0.9033 0.0124  1 P 1.52
O 0.1291 0.0875 0.8109  2 P 1.62-1.65
O 0.1562 0.4870 0.1898  2 P 1.62-1.64
O 0.2050 0.5902 0.4797  1 P 1.51, 1 H 1.69
O 0.2109 0.1543 0.1171  1 P 1.53
O 0.2743 0.2991 0.8791  1 P 1.49
O 0.3359 0.3741 0.4406  1 H 1.04
O 0.4362 0.7433 0.6655  2 H 0.97-1.00
O 0.4416 0.0895 0.9602  1 H 1.04
O 0.4509 0.5710 0.3141  1 H 1.50, 1 P 1.51

Results
energy: -0.21263 hartree per atom
calculated formation energy: -46.29 eV per formula unit
ΔE to the lowest computed polymorph: 0 meV per atom
M_tot: 0.00 μB per cell



Entry 5:
Compound: Na3MnP3H24O22
Source: Materials Project
Functional: GGA+U
Structure: optimized geometry

Unit cell a=14.8183 b=9.3216 c=21.2542 alpha=90.00 beta=134.16 gamma=90.00
Last column: nearest neighbours and their distance in Å.
Space group P2_1/c (No. 14)
Inequivalent atoms, fractional coordinates:
Na 0.0683 0.0374 0.2096  6 O 2.40-2.60
Na 0.1845 0.6971 0.2974  5 O 2.41-2.47
Na 0.3086 0.2391 0.0631  6 O 2.39-2.60
Mn 0.4309 0.5416 0.6827  6 O 2.15-2.26
P 0.1966 0.7213 0.0889  4 O 1.53-1.64
P 0.2421 0.6543 0.4826  4 O 1.50-1.62
P 0.4962 0.2307 0.4029  4 O 1.53-1.65
H 0.0304 0.5421 0.1350  1 O 0.99
H 0.0315 0.1220 0.0545  1 O 0.99
H 0.0417 0.1977 0.4717  1 O 1.00
H 0.0646 0.2380 0.3740  1 O 0.98
H 0.0748 0.2080 0.8089  1 O 1.00
H 0.0856 0.5351 0.5872  1 O 1.00
H 0.1242 0.6136 0.8649  1 O 0.98
H 0.1334 0.0638 0.5185  1 O 1.00
H 0.1357 0.1416 0.7380  1 O 1.00
H 0.1584 0.5203 0.1636  1 O 0.99
H 0.2070 0.0260 0.3976  1 O 0.99
H 0.2392 0.1138 0.1553  1 O 1.01
H 0.2469 0.2206 0.8257  1 O 0.99
H 0.2804 0.6275 0.7410  1 O 0.98
H 0.3439 0.0018 0.6489  1 O 1.01
H 0.3462 0.5430 0.8265  1 O 0.99
H 0.3704 0.1994 0.2299  1 O 1.00
H 0.3731 0.1840 0.4617  1 O 0.99
H 0.3994 0.0228 0.9041  1 O 1.00
H 0.4062 0.0551 0.5237  1 O 1.00
H 0.4164 0.6972 0.2673  1 O 0.99
H 0.4414 0.6193 0.3464  1 O 1.01
H 0.4490 0.6272 0.4534  1 O 0.98
H 0.4522 0.5033 0.1473  1 O 1.00
O 0.0222 0.2020 0.8221  2 H 0.98-1.00
O 0.0727 0.7070 0.5474  1 P 1.53, 1 H 1.69
O 0.0937 0.0637 0.1085  2 H 0.99-1.00
O 0.1050 0.1437 0.4770  2 H 1.00
O 0.1188 0.5168 0.1868  2 H 0.99
O 0.1300 0.5232 0.8447  2 H 0.98-0.99
O 0.1395 0.6483 0.3845  1 P 1.50
O 0.1546 0.2247 0.7753  2 H 0.99-1.00
O 0.2030 0.5601 0.1059  1 P 1.53, 1 H 1.69
O 0.2050 0.7252 0.0161  2 P 1.62-1.64
O 0.2724 0.6048 0.7821  2 H 0.98-0.99
O 0.2852 0.5198 0.5370  1 P 1.51
O 0.3117 0.6977 0.6716  1 P 1.55
O 0.3231 0.1382 0.1767  2 H 1.00-1.01
O 0.3418 0.1303 0.4837  2 H 0.99-1.00
O 0.3592 0.7313 0.5048  2 P 1.61-1.65
O 0.3920 0.5834 0.3947  2 H 0.98-1.00
O 0.4177 0.2064 0.9192  1 P 1.54
O 0.4242 0.0474 0.6729  2 H 1.00-1.01
O 0.4723 0.1967 0.8277  1 P 1.53
O 0.4787 0.6402 0.3219  2 H 0.99-1.01
O 0.4896 0.0670 0.3953  1 P 1.53

Results
energy: -0.20313 hartree per atom
calculated formation energy: -90.09 eV per formula unit
M_tot: 20.30 μB per cell